A plane-wave DFT calculation with r2SCAN was carried out for a relaxed Mg3Zn crystal.

a = 3.171 Å, b = 4.836 Å, c = 5.171 Å
α = 90.00°, β = 90.00°, γ = 90.00°
Atoms (fractional coordinates):
Mg 0.000 0.000 0.000
Mg 0.000 0.500 0.354
Mg 0.500 0.000 0.515
Zn 0.500 0.500 0.850

Summary:
energy of formation from the pure elements	13	meV per atom
magnetization	0.00	μB/f.u.
raw total energy	-5.341	eV per atom
SG	No. 25